The following is a PBE calculation of crystalline Er2Fe14B at its relaxed geometry, from Materials Project.

## Properties
- ΔH_f (0 K): -193 kJ/mol of formula units
- Raw total energy: -8.023 eV per atom

Cell and atoms, written as CIF:
```
data_Er2Fe14B
_chemical_formula_sum 'Er8 Fe56 B4'
_cell_length_a 8.717
_cell_length_b 8.717
_cell_length_c 11.846
_cell_angle_alpha 90.00
_cell_angle_beta 90.00
_cell_angle_gamma 90.00
_space_group_name_H-M_alt 'P 42/m n m'
_space_group_IT_number 136
_space_group_name_Hall '-P 4n 2n'
loop_
_atom_site_label
_atom_site_type_symbol
_atom_site_fract_x
_atom_site_fract_y
_atom_site_fract_z
Er1 Er 0.144 0.144 0.000
Er2 Er 0.233 0.233 0.500
Fe1 Fe 0.000 0.000 0.384
Fe2 Fe 0.000 0.500 0.000
Fe3 Fe 0.037 0.641 0.174
Fe4 Fe 0.066 0.724 0.374
Fe5 Fe 0.097 0.903 0.199
Fe6 Fe 0.183 0.183 0.254
B1 B 0.125 0.875 0.500
```

***

The following is a PBE calculation of crystalline Sc7C2Cl10 at its relaxed geometry, from Materials Project.

## Properties
- ΔH_f (0 K): -3829 kJ/mol of formula units
- Raw total energy: -6.043 eV per atom

Cell and atoms, written as CIF:
```
data_Sc7C2Cl10
_chemical_formula_sum 'Sc14 C4 Cl20'
_cell_length_a 19.077
_cell_length_b 3.524
_cell_length_c 12.028
_cell_angle_alpha 90.00
_cell_angle_beta 100.44
_cell_angle_gamma 90.00
_space_group_name_H-M_alt 'C 1 2/m 1'
_space_group_IT_number 12
loop_
_space_group_symop_operation_xyz
'x,y,z'
'-x,-y,-z'
'-x,y,-z'
'x,-y,z'
'x+1/2,y+1/2,z'
'-x+1/2,-y+1/2,-z'
'-x+1/2,y+1/2,-z'
'x+1/2,-y+1/2,z'
loop_
_atom_site_label
_atom_site_type_symbol
_atom_site_fract_x
_atom_site_fract_y
_atom_site_fract_z
Sc1 Sc 0.000 0.000 0.000
Sc2 Sc 0.158 0.500 0.728
Sc3 Sc 0.183 0.000 0.506
Sc4 Sc 0.200 0.500 0.279
C1 C 0.240 0.500 0.624
Cl1 Cl 0.047 0.500 0.880
Cl2 Cl 0.076 0.000 0.626
Cl3 Cl 0.098 0.500 0.385
Cl4 Cl 0.122 0.000 0.134
Cl5 Cl 0.214 0.000 0.869
```

***

The following is a PBE calculation of crystalline ZnBi4P2O12 at its relaxed geometry, from Materials Project.

## Properties
- ΔH_f (0 K): -3943 kJ/mol of formula units
- Raw total energy: -6.297 eV per atom

Cell and atoms, written as CIF:
```
data_ZnBi4P2O12
_chemical_formula_sum 'Zn32 Bi128 P64 O384'
_cell_length_a 33.891
_cell_length_b 10.965
_cell_length_c 28.131
_cell_angle_alpha 90.00
_cell_angle_beta 121.62
_cell_angle_gamma 90.00
_space_group_name_H-M_alt 'C 1 2/c 1'
_space_group_IT_number 15
loop_
_space_group_symop_operation_xyz
'x,y,z'
'-x,-y,-z'
'-x,y,-z+1/2'
'x,-y,z+1/2'
'x+1/2,y+1/2,z'
'-x+1/2,-y+1/2,-z'
'-x+1/2,y+1/2,-z+1/2'
'x+1/2,-y+1/2,z+1/2'
loop_
_atom_site_label
_atom_site_type_symbol
_atom_site_fract_x
_atom_site_fract_y
_atom_site_fract_z
Zn1 Zn 0.072 0.161 0.453
Zn2 Zn 0.122 0.223 0.003
Zn3 Zn 0.124 0.460 0.497
Zn4 Zn 0.189 0.116 0.548
Bi1 Bi 0.021 0.380 0.695
Bi2 Bi 0.023 0.117 0.199
Bi3 Bi 0.046 0.351 0.571
Bi4 Bi 0.050 0.122 0.076
Bi5 Bi 0.062 0.139 0.802
Bi6 Bi 0.063 0.374 0.300
Bi7 Bi 0.096 0.343 0.193
Bi8 Bi 0.097 0.157 0.690
Bi9 Bi 0.149 0.396 0.800
Bi10 Bi 0.153 0.084 0.307
Bi11 Bi 0.186 0.123 0.197
Bi12 Bi 0.188 0.391 0.694
Bi13 Bi 0.201 0.405 0.428
Bi14 Bi 0.206 0.132 0.927
Bi15 Bi 0.225 0.370 0.299
Bi16 Bi 0.227 0.137 0.799
P1 P 0.016 0.389 0.422
P2 P 0.018 0.099 0.919
P3 P 0.125 0.121 0.592
P4 P 0.127 0.134 0.408
P5 P 0.127 0.387 0.094
P6 P 0.131 0.366 0.908
P7 P 0.224 0.142 0.084
P8 P 0.230 0.368 0.581
O1 O 0.000 0.014 0.750
O2 O 0.000 0.245 0.250
O3 O 0.000 0.260 0.750
O4 O 0.000 0.489 0.250
O5 O 0.004 0.373 0.142
O6 O 0.009 0.303 0.058
O7 O 0.010 0.139 0.862
O8 O 0.013 0.477 0.937
O9 O 0.018 0.047 0.420
O10 O 0.024 0.137 0.577
O11 O 0.062 0.146 0.971
O12 O 0.067 0.345 0.655
O13 O 0.069 0.349 0.457
O14 O 0.072 0.149 0.161
O15 O 0.074 0.157 0.375
O16 O 0.078 0.249 0.747
O17 O 0.081 0.250 0.252
O18 O 0.081 0.496 0.248
O19 O 0.084 0.003 0.756
O20 O 0.090 0.373 0.847
O21 O 0.091 0.116 0.529
O22 O 0.100 0.495 0.099
O23 O 0.109 0.263 0.101
O24 O 0.117 0.239 0.617
O25 O 0.118 0.010 0.621
O26 O 0.121 0.390 0.035
O27 O 0.127 0.256 0.938
O28 O 0.136 0.492 0.937
O29 O 0.139 0.127 0.470
O30 O 0.140 0.014 0.390
O31 O 0.152 0.240 0.399
O32 O 0.165 0.248 0.245
O33 O 0.165 0.252 0.739
O34 O 0.167 0.499 0.245
O35 O 0.169 0.001 0.747
O36 O 0.171 0.422 0.342
O37 O 0.173 0.140 0.067
O38 O 0.177 0.122 0.608
O39 O 0.177 0.351 0.908
O40 O 0.177 0.367 0.552
O41 O 0.178 0.399 0.143
O42 O 0.180 0.111 0.841
O43 O 0.232 0.024 0.058
O44 O 0.233 0.258 0.060
O45 O 0.243 0.233 0.570
O46 O 0.243 0.363 0.851
O47 O 0.245 0.114 0.355
O48 O 0.248 0.008 0.746
O49 O 0.248 0.460 0.554
O50 O 0.250 0.241 0.255
```

***

The following is a PBE calculation of crystalline Sr2Mg at its relaxed geometry, from Materials Project.

## Properties
- ΔH_f (0 K): 23 kJ/mol of formula units
- Raw total energy: -1.579 eV per atom

Cell and atoms, written as CIF:
```
data_Sr2Mg
_chemical_formula_sum 'Sr4 Mg2'
_cell_length_a 6.8762
_cell_length_b 6.8762
_cell_length_c 6.2914
_cell_angle_alpha 90.00
_cell_angle_beta 90.00
_cell_angle_gamma 120.00
_space_group_name_H-M_alt 'P -6 2 m'
_space_group_IT_number 189
_space_group_name_Hall 'P -6 -2'
loop_
_atom_site_label
_atom_site_type_symbol
_atom_site_fract_x
_atom_site_fract_y
_atom_site_fract_z
Sr1 Sr 0.0000 0.0000 0.0000
Sr2 Sr 0.0000 0.6454 0.5000
Mg1 Mg 0.3333 0.6667 0.0000
```